LiYTl2Cl6 | PBE | relaxed

Results
Magnetic moment in μB per cell: 0.00
Final energy in eV/cell: -164.2
ΔH_f (0 K) in eV per atom: -2.054

a = 10.380 Å, b = 10.380 Å, c = 10.380 Å
α = 90.00°, β = 90.00°, γ = 90.00°
Positions (direct):
Tl: 0.750 0.250 0.250
Tl: 0.250 0.250 0.750
Tl: 0.750 0.250 0.750
Tl: 0.250 0.250 0.250
Tl: 0.750 0.750 0.750
Tl: 0.750 0.750 0.250
Tl: 0.250 0.750 0.750
Tl: 0.250 0.750 0.250
Cl: 0.753 0.500 0.000
Cl: 0.753 0.000 0.500
Cl: 0.500 0.500 0.747
Cl: 0.500 0.000 0.753
Cl: 0.253 0.500 0.500
Cl: 0.000 0.000 0.253
Cl: 0.000 0.247 0.500
Cl: 0.253 0.000 0.000
Cl: 0.500 0.000 0.247
Cl: 0.500 0.247 0.000
Cl: 0.500 0.253 0.500
Cl: 0.000 0.000 0.747
Cl: 0.000 0.500 0.247
Cl: 0.000 0.500 0.753
Cl: 0.747 0.000 0.000
Cl: 0.000 0.753 0.500
Cl: 0.000 0.253 0.000
Cl: 0.000 0.747 0.000
Cl: 0.500 0.747 0.500
Cl: 0.500 0.500 0.253
Cl: 0.247 0.000 0.500
Cl: 0.500 0.753 0.000
Cl: 0.247 0.500 0.000
Cl: 0.747 0.500 0.500
Li: 0.500 0.500 0.500
Li: 0.000 0.000 0.500
Li: 0.000 0.500 0.000
Li: 0.500 0.000 0.000
Y: 0.000 0.500 0.500
Y: 0.500 0.500 0.000
Y: 0.500 0.000 0.500
Y: 0.000 0.000 0.000

---

LiYTl2Cl6 | PBE | relaxed

Results
Magnetic moment in μB per cell: 0.00
Final energy in eV/cell: -164.6
ΔH_f (0 K) in eV per atom: -2.065

a = 10.239 Å, b = 10.268 Å, c = 10.593 Å
α = 90.07°, β = 90.01°, γ = 90.00°
Positions (direct):
Li: 0.000 0.000 0.000
Li: 0.000 0.500 0.500
Li: 0.500 0.000 0.500
Li: 0.500 0.500 0.000
Y: 0.000 0.000 0.500
Y: 0.000 0.500 0.000
Y: 0.500 0.000 0.000
Y: 0.500 0.500 0.500
Tl: 0.248 0.245 0.246
Tl: 0.249 0.740 0.755
Tl: 0.250 0.260 0.745
Tl: 0.251 0.755 0.253
Tl: 0.749 0.246 0.747
Tl: 0.749 0.741 0.255
Tl: 0.750 0.260 0.245
Tl: 0.751 0.755 0.754
Cl: 0.002 0.500 0.750
Cl: 0.029 0.998 0.251
Cl: 0.051 0.253 0.500
Cl: 0.051 0.753 0.000
Cl: 0.247 0.051 0.976
Cl: 0.247 0.551 0.500
Cl: 0.252 0.949 0.525
Cl: 0.253 0.449 0.000
Cl: 0.449 0.247 0.499
Cl: 0.449 0.748 0.999
Cl: 0.471 0.001 0.249
Cl: 0.497 0.500 0.750
Cl: 0.502 0.501 0.250
Cl: 0.529 0.000 0.751
Cl: 0.551 0.253 0.001
Cl: 0.551 0.753 0.501
Cl: 0.747 0.551 0.000
Cl: 0.748 0.050 0.475
Cl: 0.752 0.950 0.025
Cl: 0.753 0.449 0.500
Cl: 0.949 0.247 0.001
Cl: 0.949 0.748 0.501
Cl: 0.971 0.002 0.749
Cl: 0.997 0.500 0.250

---

LiTm2Cl5 | PBE | relaxed

Results
Magnetic moment in μB per cell: 0.00
Final energy in eV/cell: -67.5
ΔH_f (0 K) in eV per atom: -2.093

a = 8.247 Å, b = 8.247 Å, c = 7.279 Å
α = 91.80°, β = 91.80°, γ = 45.16°
Positions (direct):
Li: 0.000 0.500 0.000
Li: 0.500 0.000 0.500
Tm: 0.117 0.736 0.435
Tm: 0.264 0.883 0.065
Tm: 0.736 0.117 0.935
Tm: 0.883 0.264 0.565
Cl: 0.119 0.881 0.750
Cl: 0.141 0.267 0.333
Cl: 0.267 0.141 0.833
Cl: 0.314 0.508 0.102
Cl: 0.492 0.686 0.398
Cl: 0.508 0.314 0.602
Cl: 0.686 0.492 0.898
Cl: 0.733 0.859 0.167
Cl: 0.859 0.733 0.667
Cl: 0.881 0.119 0.250

---

Li2UCl6 | PBE | relaxed

Results
Final energy in eV/cell: -41.9
ΔH_f (0 K) in eV per atom: -2.158

a = 6.457 Å, b = 6.457 Å, c = 6.060 Å
α = 90.00°, β = 90.00°, γ = 120.00°
Positions (direct):
Li: 0.333 0.667 0.000
Li: 0.667 0.333 0.000
U: 0.000 0.000 0.500
Cl: 0.000 0.330 0.756
Cl: 0.000 0.670 0.244
Cl: 0.330 0.000 0.756
Cl: 0.330 0.330 0.244
Cl: 0.670 0.000 0.244
Cl: 0.670 0.670 0.756

---

Li5V5Cl16 | PBE | relaxed

Results
Magnetic moment in μB per cell: 28.00
Final energy in eV/cell: -243.3
ΔH_f (0 K) in eV per atom: -1.804

a = 7.363 Å, b = 12.749 Å, c = 12.749 Å
α = 70.46°, β = 90.00°, γ = 90.00°
Positions (direct):
Li: 0.000 0.000 0.000
Li: 0.000 0.500 0.500
Li: 0.236 0.193 0.193
Li: 0.236 0.693 0.693
Li: 0.263 0.692 0.192
Li: 0.491 0.494 0.994
Li: 0.509 0.994 0.494
Li: 0.737 0.192 0.692
Li: 0.764 0.193 0.193
Li: 0.764 0.693 0.693
V: 0.001 0.434 0.191
V: 0.001 0.691 0.934
V: 0.256 0.191 0.691
V: 0.499 0.691 0.437
V: 0.499 0.937 0.191
V: 0.501 0.191 0.937
V: 0.501 0.437 0.691
V: 0.744 0.691 0.191
V: 0.999 0.191 0.434
V: 0.999 0.934 0.691
Cl: 0.001 0.078 0.319
Cl: 0.001 0.819 0.578
Cl: 0.007 0.068 0.800
Cl: 0.007 0.300 0.568
Cl: 0.225 0.316 0.316
Cl: 0.225 0.816 0.816
Cl: 0.226 0.567 0.067
Cl: 0.233 0.069 0.569
Cl: 0.268 0.310 0.810
Cl: 0.272 0.064 0.065
Cl: 0.272 0.565 0.564
Cl: 0.277 0.814 0.314
Cl: 0.489 0.079 0.813
Cl: 0.489 0.313 0.579
Cl: 0.499 0.299 0.064
Cl: 0.499 0.564 0.799
Cl: 0.501 0.064 0.299
Cl: 0.501 0.799 0.564
Cl: 0.511 0.579 0.313
Cl: 0.511 0.813 0.079
Cl: 0.723 0.314 0.814
Cl: 0.728 0.065 0.064
Cl: 0.728 0.564 0.565
Cl: 0.732 0.810 0.310
Cl: 0.767 0.569 0.069
Cl: 0.774 0.067 0.567
Cl: 0.775 0.316 0.316
Cl: 0.775 0.816 0.816
Cl: 0.993 0.568 0.300
Cl: 0.993 0.800 0.068
Cl: 0.999 0.319 0.078
Cl: 0.999 0.578 0.819

---

LiWCl6 | PBE | relaxed

Results
Final energy in eV/cell: -138.3
ΔH_f (0 K) in eV per atom: -1.537

a = 9.589 Å, b = 9.589 Å, c = 9.589 Å
α = 83.21°, β = 83.21°, γ = 83.21°
Positions (direct):
Li: 0.000 0.000 0.000
Li: 0.329 0.828 0.828
Li: 0.828 0.329 0.828
Li: 0.828 0.828 0.329
W: 0.163 0.164 0.650
W: 0.164 0.650 0.163
W: 0.650 0.163 0.164
W: 0.659 0.659 0.659
Cl: 0.080 0.235 0.886
Cl: 0.082 0.733 0.383
Cl: 0.084 0.436 0.227
Cl: 0.090 0.934 0.746
Cl: 0.227 0.084 0.436
Cl: 0.232 0.594 0.932
Cl: 0.234 0.382 0.585
Cl: 0.235 0.886 0.080
Cl: 0.382 0.585 0.234
Cl: 0.383 0.082 0.733
Cl: 0.430 0.731 0.595
Cl: 0.436 0.227 0.084
Cl: 0.580 0.738 0.881
Cl: 0.585 0.234 0.382
Cl: 0.594 0.932 0.232
Cl: 0.595 0.430 0.731
Cl: 0.731 0.595 0.430
Cl: 0.733 0.383 0.082
Cl: 0.738 0.881 0.580
Cl: 0.746 0.090 0.934
Cl: 0.881 0.580 0.738
Cl: 0.886 0.080 0.235
Cl: 0.932 0.232 0.594
Cl: 0.934 0.746 0.090

---

Na3LuCl6 | PBE | relaxed

Results
Magnetic moment in μB per cell: 0.00
Final energy in eV/cell: -38.3
ΔH_f (0 K) in eV per atom: -2.238

a = 7.431 Å, b = 7.431 Å, c = 7.431 Å
α = 60.00°, β = 60.00°, γ = 60.00°
Positions (direct):
Na: 0.000 0.000 0.000
Na: 0.250 0.250 0.250
Na: 0.750 0.750 0.750
Lu: 0.500 0.500 0.500
Cl: 0.256 0.256 0.744
Cl: 0.256 0.744 0.256
Cl: 0.256 0.744 0.744
Cl: 0.744 0.256 0.256
Cl: 0.744 0.256 0.744
Cl: 0.744 0.744 0.256

---

Na3LuCl6 | PBE | relaxed

Results
Final energy in eV/cell: -79.1
ΔH_f (0 K) in eV per atom: -2.365

a = 6.960 Å, b = 7.264 Å, c = 12.298 Å
α = 90.00°, β = 123.95°, γ = 90.00°
Positions (direct):
Na: 0.000 0.000 0.000
Na: 0.000 0.500 0.500
Na: 0.227 0.058 0.742
Na: 0.227 0.442 0.242
Na: 0.773 0.558 0.758
Na: 0.773 0.942 0.258
Lu: 0.500 0.000 0.500
Lu: 0.500 0.500 0.000
Cl: 0.133 0.179 0.439
Cl: 0.133 0.321 0.939
Cl: 0.255 0.701 0.424
Cl: 0.255 0.799 0.924
Cl: 0.394 0.064 0.264
Cl: 0.394 0.436 0.764
Cl: 0.606 0.564 0.236
Cl: 0.606 0.936 0.736
Cl: 0.745 0.201 0.076
Cl: 0.745 0.299 0.576
Cl: 0.867 0.679 0.061
Cl: 0.867 0.821 0.561